1.
Density functional theory data (PBE) for crystalline InAg3F6 at its relaxed geometry.

```
10
Lattice="2.9908 -3.3446 4.3781 -2.6974 -5.1133 2.4246 2.2450 -5.6859 -1.3892" Properties=species:S:1:pos:R:3 pbc="T T T"
In 0.0000 0.0000 0.0000
Ag 0.6346 -3.5360 1.3534
Ag 1.9038 -10.6079 4.0602
Ag 1.2692 -7.0719 2.7068
F 2.1797 -5.1007 3.5907
F 0.3588 -9.0431 1.8228
F -0.8285 -6.0361 2.5575
F 3.3670 -8.1078 2.8560
F 1.7853 -6.3389 0.5406
F 0.7532 -7.8049 4.8729
```

Computed properties:
**Calculated volume**: 174 Å³/cell
**Excess energy over the best structure of this formula in the dataset**: 1.43 eV per formula unit
**Calculated formation energy**: -17.20 eV per formula unit

2.
Density functional theory data (PBE) for crystalline K2InAgF6 at its relaxed geometry.

```
10
Lattice="0.0000 4.5144 4.5144 4.5144 0.0000 4.5144 4.5144 4.5144 0.0000" Properties=species:S:1:pos:R:3 pbc="T T T"
K 2.2572 2.2572 2.2572
K 6.7716 6.7716 6.7716
In 0.0000 0.0000 0.0000
Ag 4.5144 4.5144 4.5144
F 4.5144 4.5144 2.1020
F 6.9268 4.5144 4.5144
F 4.5144 4.5144 6.9268
F 4.5144 2.1020 4.5144
F 4.5144 6.9268 4.5144
F 2.1020 4.5144 4.5144
```

Computed properties:
**Calculated volume**: 184 Å³/cell
**Calculated formation energy**: -26.01 eV per formula unit

3.
Density functional theory data (PBE) for crystalline Rb2InAgF6 at its relaxed geometry.

```
10
Lattice="-3.0008 -0.7988 5.6415 -6.4324 -0.2057 0.2247 -3.0008 -5.5490 1.2935" Properties=species:S:1:pos:R:3 pbc="T T T"
Rb -3.1085 -1.6384 1.7899
Rb -9.3255 -4.9151 5.3698
In 0.0000 0.0000 0.0000
Ag -6.2170 -3.2767 3.5798
F -4.4907 -4.4963 2.3527
F -7.9433 -4.6068 2.4733
F -7.9433 -2.0571 4.8070
F -6.3326 -1.6284 1.7790
F -6.1014 -4.9251 5.3807
F -4.4907 -1.9467 4.6864
```

Computed properties:
**Calculated volume**: 189 Å³/cell
**Calculated formation energy**: -26.23 eV per formula unit

4.
Density functional theory data (PBE) for crystalline AgIrF7 at its relaxed geometry.

```
36
Lattice="7.2646 0.0000 0.0000 0.0000 7.8855 0.0000 0.0000 0.0000 10.5480" Properties=species:S:1:pos:R:3 pbc="T T T"
Ag 1.8162 1.0752 2.5698
Ag 5.4485 6.8103 7.9782
Ag 5.4485 2.8676 7.8438
Ag 1.8162 5.0179 2.7042
Ir 1.8162 2.3555 5.8909
Ir 5.4485 5.5300 4.6571
Ir 1.8162 6.2983 9.9311
Ir 5.4485 1.5872 0.6169
F 5.4485 3.2912 1.3935
F 4.1286 2.1532 9.8894
F 6.7643 0.9683 1.8700
F 5.4485 7.7305 10.3794
F 0.4963 5.7323 0.6586
F 0.5004 6.9172 8.6780
F 3.1320 6.9172 8.6780
F 1.8162 4.0977 5.1054
F 6.7683 6.0960 5.9326
F 3.1360 1.7895 4.6154
F 1.8162 7.0099 3.2666
F 5.4485 7.2340 3.8805
F 5.4485 3.7878 5.4425
F 4.1286 6.0960 5.9326
F 1.8162 4.5943 9.1544
F 4.1327 4.9110 3.4040
F 5.4485 4.8184 8.5406
F 1.8162 0.1550 0.1685
F 0.5004 2.9745 7.1440
F 1.8162 3.0671 2.0074
F 6.7643 4.9110 3.4040
F 3.1320 2.9745 7.1440
F 6.7683 2.1532 9.8894
F 0.4963 1.7895 4.6154
F 4.1327 0.9683 1.8700
F 3.1360 5.7323 0.6586
F 5.4485 0.8756 7.2813
F 1.8162 0.6515 6.6675
```

Computed properties:
**Calculated volume**: 604 Å³/cell
**Calculated formation energy**: -15.51 eV per formula unit

5.
Density functional theory data (PBE) for crystalline Rb2AgIrF6 at its relaxed geometry.

```
10
Lattice="0.0000 4.4578 4.4578 4.4578 0.0000 4.4578 4.4578 4.4578 0.0000" Properties=species:S:1:pos:R:3 pbc="T T T"
Rb 6.6867 6.6867 6.6867
Rb 2.2289 2.2289 2.2289
Ag 4.4578 4.4578 4.4578
Ir 0.0000 0.0000 0.0000
F 2.0471 4.4578 4.4578
F 4.4578 4.4578 2.0471
F 6.8685 4.4578 4.4578
F 4.4578 2.0471 4.4578
F 4.4578 6.8685 4.4578
F 4.4578 4.4578 6.8685
```

Computed properties:
**Calculated volume**: 177 Å³/cell
**Calculated formation energy**: -21.67 eV per formula unit

6.
Density functional theory data (PBE) for crystalline K2AgF4 at its relaxed geometry.

```
14
Lattice="10.4425 0.0000 0.0000 0.0000 3.8341 0.0000 0.0000 0.3183 6.5004" Properties=species:S:1:pos:R:3 pbc="T T T"
K 1.9089 1.9671 2.7028
K 7.1302 2.0261 0.5474
K 8.5336 2.1853 3.7976
K 3.3124 2.1263 5.9530
Ag 0.0000 0.0000 0.0000
Ag 5.2213 0.1592 3.2502
F 9.8940 2.3614 1.4618
F 4.6727 1.6318 1.7884
F 0.5485 1.7910 5.0387
F 5.7698 2.5206 4.7120
F 1.9776 3.8076 0.8045
F 7.1989 0.1857 2.4457
F 8.4649 0.3448 5.6960
F 3.2437 3.9668 4.0547
```

Computed properties:
**Calculated volume**: 260 Å³/cell
**Excess energy over the best structure of this formula in the dataset**: 0.00 eV per formula unit
**Calculated formation energy**: -16.48 eV per formula unit

7.
Density functional theory data (PBE) for crystalline K2AgF4 at its relaxed geometry.

```
14
Lattice="-4.2598 -3.2671 3.0274 -2.9320 5.4937 1.8033 -1.5367 1.4391 -6.8829" Properties=species:S:1:pos:R:3 pbc="T T T"
K -3.2336 -1.5798 0.0186
K -5.4949 5.2455 -2.0709
K -6.2753 1.0835 -1.3871
K -2.4532 2.5822 -0.6651
Ag 0.0000 0.0000 0.0000
Ag -3.5959 1.1133 2.4153
F -3.1431 2.0059 -5.3947
F -5.5854 1.6598 3.3424
F -3.4555 3.2934 1.8287
F -5.2730 0.3723 -3.8810
F -4.5826 0.6574 0.5350
F -4.1460 3.0082 -2.5873
F -7.3230 3.3367 -0.4295
F -1.4055 0.3290 -1.6227
```

Computed properties:
**Calculated volume**: 260 Å³/cell
**Excess energy over the best structure of this formula in the dataset**: 0.10 eV per formula unit
**Calculated formation energy**: -16.37 eV per formula unit

8.
Density functional theory data (PBE) for crystalline K2NbAgF6 at its relaxed geometry.

```
10
Lattice="-3.6464 -5.2354 0.3675 -2.9536 -1.4589 5.4762 -6.3505 0.5543 0.4514" Properties=species:S:1:pos:R:3 pbc="T T T"
K -9.7128 -4.6050 4.7213
K -3.2376 -1.5350 1.5738
Nb 0.0000 0.0000 0.0000
Ag -6.4752 -3.0700 3.1476
F -4.9629 -4.2276 1.6613
F -6.4086 -1.1324 1.7062
F -7.9876 -1.9123 4.6338
F -4.5925 -2.2087 4.3925
F -8.3580 -3.9313 1.9026
F -6.5419 -5.0076 4.5889
```

Computed properties:
**Calculated volume**: 185 Å³/cell
**Calculated formation energy**: -25.98 eV per formula unit

9.
Density functional theory data (PBE) for crystalline K2AgRhF6 at its relaxed geometry.

```
10
Lattice="0.0000 4.3776 4.3776 4.3776 0.0000 4.3776 4.3776 4.3776 0.0000" Properties=species:S:1:pos:R:3 pbc="T T T"
K 2.1888 2.1888 2.1888
K 6.5665 6.5665 6.5665
Ag 4.3776 4.3776 4.3776
Rh 0.0000 0.0000 0.0000
F 4.3776 4.3776 2.0252
F 6.7301 4.3776 4.3776
F 4.3776 4.3776 6.7301
F 4.3776 2.0252 4.3776
F 4.3776 6.7301 4.3776
F 2.0252 4.3776 4.3776
```

Computed properties:
**Calculated volume**: 168 Å³/cell
**Calculated formation energy**: -22.52 eV per formula unit

10.
Density functional theory data (PBE) for crystalline K2AgRuF6 at its relaxed geometry.

```
10
Lattice="0.0000 4.4056 4.4056 4.4056 0.0000 4.4056 4.4056 4.4056 0.0000" Properties=species:S:1:pos:R:3 pbc="T T T"
K 2.2028 2.2028 2.2028
K 6.6085 6.6085 6.6085
Ag 4.4056 4.4056 4.4056
Ru 0.0000 0.0000 0.0000
F 4.4056 4.4056 2.0279
F 6.7834 4.4056 4.4056
F 4.4056 4.4056 6.7834
F 4.4056 2.0279 4.4056
F 4.4056 6.7834 4.4056
F 2.0279 4.4056 4.4056
```

Computed properties:
**Calculated volume**: 171 Å³/cell
**Calculated formation energy**: -22.27 eV per formula unit

11.
Density functional theory data (PBE) for crystalline K2AgSbF6 at its relaxed geometry.

```
10
Lattice="0.0000 4.6188 4.6188 4.6188 0.0000 4.6188 4.6188 4.6188 0.0000" Properties=species:S:1:pos:R:3 pbc="T T T"
K 6.9282 6.9282 6.9282
K 2.3094 2.3094 2.3094
Ag 0.0000 0.0000 0.0000
Sb 4.6188 4.6188 4.6188
F 4.6188 4.6188 6.8082
F 2.4295 4.6188 4.6188
F 4.6188 4.6188 2.4295
F 4.6188 6.8082 4.6188
F 4.6188 2.4295 4.6188
F 6.8082 4.6188 4.6188
```

Computed properties:
**Calculated volume**: 197 Å³/cell
**Calculated formation energy**: -24.87 eV per formula unit

12.
Density functional theory data (PBE) for crystalline K2TaAgF6 at its relaxed geometry.

```
10
Lattice="-0.3631 5.5965 4.5383 -0.0623 -1.1316 7.1249 5.7403 1.7895 3.9870" Properties=species:S:1:pos:R:3 pbc="T T T"
K 1.3287 1.5636 3.9126
K 3.9862 4.6908 11.7377
Ta 2.6574 3.1272 7.8251
Ag 0.0000 0.0000 0.0000
F 1.6301 1.5185 7.5606
F 1.4930 3.6325 9.2749
F 3.6847 4.7359 8.0896
F 1.5165 4.0599 6.5836
F 3.7984 2.1945 9.0666
F 3.8219 2.6219 6.3754
```

Computed properties:
**Calculated volume**: 266 Å³/cell
**Calculated formation energy**: -26.62 eV per formula unit

13.
Density functional theory data (PBE) for crystalline Li3AgF4 at its relaxed geometry.

```
64
Lattice="-7.7169 3.4388 -2.6460 1.7215 -6.3979 -5.9583 -3.8899 -6.2228 8.2865" Properties=species:S:1:pos:R:3 pbc="T T T"
Li 0.1137 -7.8926 -2.4115
Li 0.2518 -5.3018 -2.1397
Li -2.3705 -9.6320 0.6042
Li -2.6064 -5.0013 4.9439
Li -2.8908 -7.0679 2.3357
Li -1.3676 -3.5909 -0.6523
Li -2.0108 -0.8030 1.1061
Li -5.3821 -7.1860 3.1211
Li -5.9172 -9.7645 0.9738
Li -2.8523 -4.3165 -2.8832
Li -5.5668 -4.0889 4.4906
Li -5.5579 -6.7307 0.5360
Li -4.8776 -1.4730 2.3782
Li -4.5958 -2.9297 -0.6897
Li -4.3681 -5.0495 -4.9750
Li -6.8735 -4.8302 2.1735
Li -4.5117 -0.3291 -0.4993
Li -4.8971 -2.3211 -3.1664
Li -8.3279 -8.5785 -1.1580
Li -7.5089 -2.2399 4.0922
Li -8.5259 -5.5140 0.1186
Li -7.7615 -2.9352 -1.9404
Li -10.2627 -4.1924 2.2205
Li -7.5717 0.6188 -1.2016
Ag -3.8536 -10.4286 3.3932
Ag -2.6818 -6.5598 -0.7840
Ag -3.0053 -4.1254 1.9593
Ag -1.7222 -0.3326 -1.8517
Ag -5.9088 -5.6143 -2.3155
Ag -8.6255 -7.9499 2.1043
Ag -8.6794 -5.4998 4.8390
Ag -7.5541 -1.6892 0.9700
F -0.4385 -6.7044 -1.0877
F -1.6393 -7.9498 1.3078
F -3.3139 -6.4042 6.0486
F -3.8204 -8.1352 3.5880
F -4.1809 -10.2390 0.4470
F -0.9457 -1.9539 0.1154
F -1.0480 -4.0617 -2.4912
F -3.7704 -3.6479 4.7028
F -1.2795 -5.9130 -5.7558
F -4.3245 -6.0490 1.7916
F -3.0149 -1.8595 2.3439
F -3.1901 -4.1411 -0.7746
F -4.7356 -7.4521 -0.9362
F -3.6202 -6.0170 -3.3865
F -6.2978 -8.0599 1.7125
F -6.3021 -5.7574 3.9077
F -3.8512 -1.4484 -1.8609
F -3.8653 -3.4098 -4.2393
F -6.3264 -3.1146 2.9416
F -5.2920 -1.7106 0.5508
F -6.7013 -5.3092 0.2924
F -7.1878 -7.5812 -2.5143
F -5.9286 -3.3424 -1.9400
F -8.5629 -3.2547 5.2832
F -6.1844 -5.6460 -5.1644
F -8.7578 -5.2606 2.0594
F -5.7243 1.0069 -0.8894
F -9.3031 -7.1630 -0.4109
F -5.9324 -1.1175 -4.0993
F -6.8813 -2.9332 -6.2185
F -9.6525 -2.6348 0.9396
F -8.3438 -1.1367 -1.6652
```

Computed properties:
**Calculated volume**: 820 Å³/cell
**Calculated formation energy**: -20.72 eV per formula unit

14.
Density functional theory data (PBE) for crystalline LiAgF3 at its relaxed geometry.

```
10
Lattice="-5.4252 0.0000 0.0000 2.5660 4.8257 0.0000 -0.4125 -2.6619 -5.0283" Properties=species:S:1:pos:R:3 pbc="T T T"
Li -0.3893 2.9726 -0.3224
Li -2.8825 -0.8088 -4.7059
Ag 1.1044 2.8625 -2.3045
Ag -4.3761 -0.6987 -2.7238
F 0.2235 0.5821 -1.2456
F -3.3581 -1.7806 -4.0001
F -0.6893 0.2984 -3.8310
F -2.5824 1.8653 -1.1973
F 0.0863 3.9444 -1.0282
F -3.4953 1.5817 -3.7827
```

Computed properties:
**Calculated volume**: 132 Å³/cell
**Excess energy over the best structure of this formula in the dataset**: 4.37 eV per formula unit
**Calculated formation energy**: -6.03 eV per formula unit

15.
Density functional theory data (PBE) for crystalline LiAgF3 at its relaxed geometry.

```
10
Lattice="1.1145 5.2245 -2.5992 -1.4942 1.4445 -5.5654 -4.1060 4.0190 -1.5104" Properties=species:S:1:pos:R:3 pbc="T T T"
Li -3.5904 8.5548 -7.7440
Li -1.3476 3.2108 -2.9065
Ag -2.3012 5.4829 -4.9632
Ag -0.0583 0.1389 -0.1257
F -4.4884 5.7956 -5.3086
F -2.7714 3.2993 -4.9354
F -2.6262 5.3309 -2.7585
F -1.7326 7.6116 -4.5803
F -1.6563 5.3617 -7.1011
F -0.2368 4.7947 -4.4586
```

Computed properties:
**Calculated volume**: 130 Å³/cell
**Excess energy over the best structure of this formula in the dataset**: 0.05 eV per formula unit
**Calculated formation energy**: -10.34 eV per formula unit

16.
Density functional theory data (PBE) for crystalline LiAgF3 at its relaxed geometry.

```
10
Lattice="-4.1411 4.4985 -2.3118 -3.6236 -4.1583 3.5082 0.4812 1.7868 2.6149" Properties=species:S:1:pos:R:3 pbc="T T T"
Li -1.8118 -2.0791 1.7541
Li -2.0705 2.2493 -1.1559
Ag -3.6417 1.0635 1.9057
Ag 0.2406 0.8934 1.3075
F -3.9567 1.4134 -0.2377
F -1.1461 -0.2420 2.3385
F -5.9940 -0.0295 3.0855
F -1.2895 2.1566 0.7259
F -6.1374 2.3690 1.4729
F -3.8080 -1.0732 1.4341
```

Computed properties:
**Calculated volume**: 132 Å³/cell
**Excess energy over the best structure of this formula in the dataset**: 0.00 eV per formula unit
**Calculated formation energy**: -10.40 eV per formula unit

17.
Density functional theory data (PBE) for crystalline LiAgF3 at its relaxed geometry.

```
30
Lattice="0.5017 0.6123 -5.3734 -4.7442 -1.5776 2.1222 -4.2790 14.5629 1.2598" Properties=species:S:1:pos:R:3 pbc="T T T"
Li -3.6535 10.7965 0.8891
Li -2.6810 8.4776 0.3085
Li -4.4141 0.2657 -2.7198
Li -4.8679 2.8011 -2.8804
Li -3.6800 13.8534 -3.8480
Li -6.2677 4.5986 2.2766
Ag -7.1235 12.4159 1.0722
Ag -3.7132 2.8927 -0.0171
Ag -5.6382 7.6336 0.0207
Ag -1.4569 1.1097 -2.4319
Ag -2.8243 6.0360 -2.6436
Ag -4.8082 10.7049 -1.9742
F 0.1181 0.1441 -1.2643
F -1.7114 2.2000 -0.5550
F -5.2087 11.8800 0.3127
F -5.5922 3.4320 0.8248
F -3.1039 9.9524 -0.9449
F -3.2616 6.9080 -0.7519
F -7.3116 13.6726 -0.6353
F -4.7920 1.5165 -1.2306
F -3.5547 12.2943 -2.6319
F -4.1135 4.4432 -2.0682
F -6.0969 8.9704 -1.6463
F -1.7558 7.7497 -3.4792
F -0.9337 0.2620 -4.3129
F -3.2113 1.8413 -3.3897
F -2.5426 4.4831 0.9193
F -7.1937 10.9294 2.6728
F -4.5092 9.0307 1.1626
F -5.5359 6.3526 1.7175
```

Computed properties:
**Calculated volume**: 389 Å³/cell
**Excess energy over the best structure of this formula in the dataset**: 0.04 eV per formula unit
**Calculated formation energy**: -10.36 eV per formula unit